Entry from the Materials Project database: a geometry-optimized LiVCrP4O14 structure (PBE with a Hubbard U).

Summary:
energy relative to the elements = -2646 meV per atom
total DFT energy (no corrections) = -153.81 eV/cell
offset from the most stable computed form = 0.000 eV per atom
SG = P1

Lattice parameters (Å, degrees): 4.872 6.986 8.117 90.17 90.57 107.14
Fractional coordinates of all 21 atoms:
Li (0.000, 0.000, 0.000)
V (0.622, 0.601, 0.856)
Cr (0.050, 0.055, 0.365)
P (0.071, 0.424, 0.082)
P (0.233, 0.851, 0.680)
P (0.442, 0.812, 0.184)
P (0.619, 0.237, 0.584)
O (0.003, 0.814, 0.815)
O (0.113, 0.841, 0.507)
O (0.233, 0.938, 0.177)
O (0.252, 0.581, 0.215)
O (0.263, 0.413, 0.934)
O (0.421, 0.709, 0.700)
O (0.428, 0.241, 0.436)
O (0.436, 0.074, 0.719)
O (0.584, 0.813, 0.013)
O (0.663, 0.862, 0.321)
O (0.701, 0.432, 0.687)
O (0.816, 0.495, 0.025)
O (0.889, 0.181, 0.545)
O (0.973, 0.222, 0.168)

---

Entry from the Materials Project database: a geometry-optimized MgMn6O8F4 structure (PBE with a Hubbard U).

Summary:
energy relative to the elements = -2292 meV per atom
total DFT energy (no corrections) = -130.01 eV/cell
offset from the most stable computed form = 0.021 eV per atom
SG = P1

Lattice parameters (Å, degrees): 5.750 5.918 7.876 106.72 98.51 113.31
Fractional coordinates of all 19 atoms:
Mg (0.000, 0.000, 0.000)
Mn (0.009, 0.029, 0.523)
Mn (0.030, 0.499, 0.995)
Mn (0.338, 0.534, 0.359)
Mn (0.367, 0.018, 0.823)
Mn (0.656, 0.038, 0.207)
Mn (0.696, 0.468, 0.637)
O (0.055, 0.708, 0.834)
O (0.131, 0.173, 0.817)
O (0.319, 0.321, 0.511)
O (0.374, 0.707, 0.181)
O (0.672, 0.308, 0.824)
O (0.708, 0.701, 0.503)
O (0.789, 0.184, 0.466)
O (0.975, 0.312, 0.172)
F (0.227, 0.830, 0.530)
F (0.401, 0.182, 0.129)
F (0.598, 0.867, 0.911)
F (0.916, 0.831, 0.180)

---

Entry from the Materials Project database: a geometry-optimized Zn4Ni5Te3O18 structure (PBE with a Hubbard U).

Summary:
energy relative to the elements = -1521 meV per atom
total DFT energy (no corrections) = -305.97 eV/cell
SG = C2/c

Lattice parameters (Å, degrees): 8.649 8.649 10.401 94.11 94.11 61.88
Fractional coordinates of all 60 atoms:
Zn (0.136, 0.824, 0.956)
Zn (0.156, 0.442, 0.076)
Zn (0.176, 0.864, 0.544)
Zn (0.442, 0.156, 0.576)
Zn (0.558, 0.844, 0.424)
Zn (0.824, 0.136, 0.456)
Zn (0.844, 0.558, 0.924)
Zn (0.864, 0.176, 0.044)
Ni (0.025, 0.643, 0.450)
Ni (0.194, 0.508, 0.732)
Ni (0.323, 0.677, 0.250)
Ni (0.357, 0.975, 0.050)
Ni (0.492, 0.806, 0.768)
Ni (0.508, 0.194, 0.232)
Ni (0.643, 0.025, 0.950)
Ni (0.677, 0.323, 0.750)
Ni (0.806, 0.492, 0.268)
Ni (0.975, 0.357, 0.550)
Te (0.159, 0.165, 0.798)
Te (0.165, 0.159, 0.298)
Te (0.500, 0.500, 0.000)
Te (0.500, 0.500, 0.500)
Te (0.835, 0.841, 0.702)
Te (0.841, 0.835, 0.202)
O (0.057, 0.397, 0.381)
O (0.057, 0.753, 0.797)
O (0.067, 0.742, 0.294)
O (0.078, 0.096, 0.446)
O (0.096, 0.078, 0.946)
O (0.097, 0.397, 0.888)
O (0.223, 0.271, 0.660)
O (0.247, 0.943, 0.703)
O (0.258, 0.933, 0.206)
O (0.259, 0.587, 0.562)
O (0.263, 0.596, 0.068)
O (0.271, 0.223, 0.160)
O (0.397, 0.057, 0.881)
O (0.397, 0.097, 0.388)
O (0.404, 0.737, 0.432)
O (0.413, 0.741, 0.938)
O (0.425, 0.432, 0.336)
O (0.432, 0.425, 0.836)
O (0.568, 0.575, 0.164)
O (0.575, 0.568, 0.664)
O (0.587, 0.259, 0.062)
O (0.596, 0.263, 0.568)
O (0.603, 0.903, 0.612)
O (0.603, 0.943, 0.119)
O (0.729, 0.777, 0.840)
O (0.737, 0.404, 0.932)
O (0.741, 0.413, 0.438)
O (0.742, 0.067, 0.794)
O (0.753, 0.057, 0.297)
O (0.777, 0.729, 0.340)
O (0.903, 0.603, 0.112)
O (0.904, 0.922, 0.054)
O (0.922, 0.904, 0.554)
O (0.933, 0.258, 0.706)
O (0.943, 0.247, 0.203)
O (0.943, 0.603, 0.619)

---

Entry from the Materials Project database: a geometry-optimized MgZn2AgWO6 structure (PBE with a Hubbard U).

Summary:
energy relative to the elements = -1778 meV per atom
total DFT energy (no corrections) = -60.60 eV/cell
offset from the most stable computed form = 0.039 eV per atom
SG = P1

Lattice parameters (Å, degrees): 5.501 5.856 5.878 117.57 104.85 101.17
Fractional coordinates of all 11 atoms:
Mg (0.000, 0.000, 0.000)
Zn (0.389, 0.724, 0.014)
Zn (0.571, 0.227, 0.917)
Ag (0.499, 0.466, 0.480)
W (0.982, 0.967, 0.476)
O (0.146, 0.827, 0.211)
O (0.223, 0.913, 0.774)
O (0.307, 0.345, 0.694)
O (0.664, 0.596, 0.257)
O (0.749, 0.034, 0.194)
O (0.832, 0.124, 0.753)

---

Entry from the Materials Project database: a geometry-optimized Ca2MoO5 structure (PBE with a Hubbard U).

Summary:
energy relative to the elements = -2582 meV per atom
total DFT energy (no corrections) = -107.23 eV/cell
SG = Ima2

Lattice parameters (Å, degrees): 8.953 8.953 8.953 50.80 146.56 142.89
Fractional coordinates of all 16 atoms:
Ca (0.071, 0.153, 0.224)
Ca (0.071, 0.347, 0.418)
Ca (0.929, 0.653, 0.582)
Ca (0.929, 0.847, 0.776)
Mo (0.517, 0.017, 0.500)
Mo (0.517, 0.517, 0.000)
O (0.031, 0.010, 0.521)
O (0.067, 0.245, 0.729)
O (0.067, 0.838, 0.322)
O (0.460, 0.009, 0.254)
O (0.460, 0.706, 0.951)
O (0.488, 0.510, 0.479)
O (0.516, 0.338, 0.271)
O (0.516, 0.745, 0.678)
O (0.755, 0.206, 0.746)
O (0.755, 0.509, 0.049)

---

Entry from the Materials Project database: a geometry-optimized FeOF structure (PBE with a Hubbard U).

Summary:
energy relative to the elements = -2035 meV per atom
total DFT energy (no corrections) = -324.58 eV/cell
SG = Pm

Lattice parameters (Å, degrees): 14.282 3.095 14.399 90.00 90.34 90.00
Fractional coordinates of all 54 atoms:
Fe (0.000, 0.000, 0.000)
Fe (0.001, 0.000, 0.335)
Fe (0.008, 0.000, 0.663)
Fe (0.194, 0.500, 0.167)
Fe (0.195, 0.500, 0.836)
Fe (0.200, 0.500, 0.498)
Fe (0.334, 0.000, 0.670)
Fe (0.336, 0.000, 0.003)
Fe (0.337, 0.000, 0.332)
Fe (0.527, 0.500, 0.835)
Fe (0.529, 0.500, 0.501)
Fe (0.532, 0.500, 0.162)
Fe (0.666, 0.000, 0.333)
Fe (0.668, 0.000, 0.669)
Fe (0.673, 0.000, 0.996)
Fe (0.841, 0.500, 0.855)
Fe (0.860, 0.500, 0.502)
Fe (0.861, 0.500, 0.168)
O (0.245, 0.000, 0.231)
O (0.245, 0.000, 0.565)
O (0.245, 0.000, 0.899)
O (0.280, 0.500, 0.731)
O (0.282, 0.500, 0.065)
O (0.285, 0.500, 0.396)
O (0.573, 0.000, 0.898)
O (0.579, 0.000, 0.231)
O (0.579, 0.000, 0.565)
O (0.617, 0.500, 0.064)
O (0.617, 0.500, 0.398)
O (0.617, 0.500, 0.731)
O (0.742, 0.500, 0.939)
O (0.913, 0.000, 0.233)
O (0.914, 0.000, 0.569)
O (0.914, 0.000, 0.895)
O (0.949, 0.500, 0.401)
O (0.950, 0.500, 0.064)
F (0.078, 0.500, 0.271)
F (0.078, 0.500, 0.604)
F (0.079, 0.500, 0.934)
F (0.110, 0.000, 0.766)
F (0.115, 0.000, 0.102)
F (0.116, 0.000, 0.436)
F (0.409, 0.500, 0.936)
F (0.410, 0.500, 0.603)
F (0.412, 0.500, 0.269)
F (0.446, 0.000, 0.766)
F (0.448, 0.000, 0.100)
F (0.449, 0.000, 0.435)
F (0.746, 0.500, 0.271)
F (0.747, 0.500, 0.601)
F (0.784, 0.000, 0.107)
F (0.784, 0.000, 0.438)
F (0.784, 0.000, 0.765)
F (0.952, 0.500, 0.731)

---

Entry from the Materials Project database: a geometry-optimized LiTbW2O8 structure (PBE with a Hubbard U).

Summary:
energy relative to the elements = -2660 meV per atom
total DFT energy (no corrections) = -179.18 eV/cell
offset from the most stable computed form = 0.000 eV per atom
SG = P2/c

Lattice parameters (Å, degrees): 5.138 5.879 11.005 90.00 113.44 90.00
Fractional coordinates of all 24 atoms:
Li (0.000, 0.193, 0.250)
Li (0.000, 0.807, 0.750)
Tb (0.500, 0.193, 0.750)
Tb (0.500, 0.807, 0.250)
W (0.264, 0.325, 0.014)
W (0.264, 0.675, 0.514)
W (0.736, 0.325, 0.486)
W (0.736, 0.675, 0.986)
O (0.147, 0.392, 0.596)
O (0.147, 0.608, 0.096)
O (0.232, 0.127, 0.135)
O (0.232, 0.873, 0.635)
O (0.279, 0.127, 0.888)
O (0.279, 0.873, 0.388)
O (0.352, 0.413, 0.388)
O (0.352, 0.587, 0.888)
O (0.648, 0.413, 0.112)
O (0.648, 0.587, 0.612)
O (0.721, 0.127, 0.612)
O (0.721, 0.873, 0.112)
O (0.768, 0.127, 0.365)
O (0.768, 0.873, 0.865)
O (0.853, 0.392, 0.904)
O (0.853, 0.608, 0.404)

---

Entry from the Materials Project database: a geometry-optimized FeB2O4 structure (PBE with a Hubbard U).

Summary:
energy relative to the elements = -2457 meV per atom
total DFT energy (no corrections) = -215.26 eV/cell
offset from the most stable computed form = 0.000 eV per atom

Lattice parameters (Å, degrees): 5.559 6.211 7.260 84.77 102.39 76.22
Fractional coordinates of all 28 atoms:
O (0.899, 0.384, 0.846)
B (0.289, 0.088, 0.210)
B (0.353, 0.268, 0.648)
O (0.734, 0.551, 0.513)
O (0.266, 0.449, 0.487)
O (0.845, 0.860, 0.334)
Fe (0.795, 0.213, 0.456)
O (0.345, 0.360, 0.834)
O (0.155, 0.140, 0.666)
B (0.211, 0.411, 0.290)
B (0.789, 0.589, 0.710)
O (0.234, 0.051, 0.013)
O (0.766, 0.949, 0.987)
O (0.101, 0.616, 0.154)
Fe (0.705, 0.287, 0.044)
B (0.647, 0.732, 0.352)
B (0.711, 0.912, 0.790)
Fe (0.205, 0.787, 0.544)
O (0.655, 0.640, 0.166)
B (0.147, 0.232, 0.852)
O (0.557, 0.736, 0.761)
Fe (0.295, 0.713, 0.956)
O (0.399, 0.883, 0.346)
O (0.058, 0.236, 0.261)
B (0.853, 0.768, 0.148)
O (0.601, 0.117, 0.654)
O (0.443, 0.264, 0.239)
O (0.942, 0.764, 0.739)

---

The highest energy relative to the elements belongs to which entry? Zn4Ni5Te3O18

---

Which of these has the highest energy relative to the elements? Zn4Ni5Te3O18

---

Please write out number 7 again, unchanged.
Entry from the Materials Project database: a geometry-optimized LiTbW2O8 structure (PBE with a Hubbard U).

Summary:
energy relative to the elements = -2660 meV per atom
total DFT energy (no corrections) = -179.18 eV/cell
offset from the most stable computed form = 0.000 eV per atom
SG = P2/c

Lattice parameters (Å, degrees): 5.138 5.879 11.005 90.00 113.44 90.00
Fractional coordinates of all 24 atoms:
Li (0.000, 0.193, 0.250)
Li (0.000, 0.807, 0.750)
Tb (0.500, 0.193, 0.750)
Tb (0.500, 0.807, 0.250)
W (0.264, 0.325, 0.014)
W (0.264, 0.675, 0.514)
W (0.736, 0.325, 0.486)
W (0.736, 0.675, 0.986)
O (0.147, 0.392, 0.596)
O (0.147, 0.608, 0.096)
O (0.232, 0.127, 0.135)
O (0.232, 0.873, 0.635)
O (0.279, 0.127, 0.888)
O (0.279, 0.873, 0.388)
O (0.352, 0.413, 0.388)
O (0.352, 0.587, 0.888)
O (0.648, 0.413, 0.112)
O (0.648, 0.587, 0.612)
O (0.721, 0.127, 0.612)
O (0.721, 0.873, 0.112)
O (0.768, 0.127, 0.365)
O (0.768, 0.873, 0.865)
O (0.853, 0.392, 0.904)
O (0.853, 0.608, 0.404)